Entry 1:
## Li4Mn3OF11 (PBE+U)

Data for crystalline Li4Mn3OF11 at its relaxed geometry.

As for the energy above the most stable polymorph in this dataset: 13 meV per atom. The value obtained for the electronic total energy is -5.4928 eV/atom. Its crystal system is triclinic. As for the space group: No. 1.

POSCAR file:
```
Li4Mn3OF11
1.0
5.771 0.000 0.000
-1.052 5.960 0.000
-1.002 -1.666 6.147
Li Mn O F
4 3 1 11
direct
0.000 0.000 0.000
0.226 0.668 0.279
0.475 0.743 0.821
0.769 0.926 0.473
0.341 0.199 0.519
0.619 0.338 0.153
0.911 0.472 0.725
0.668 0.306 0.476
0.021 0.190 0.733
0.051 0.955 0.340
0.179 0.697 0.935
0.219 0.482 0.528
0.298 0.216 0.153
0.442 0.931 0.568
0.538 0.397 0.843
0.569 0.644 0.253
0.663 0.032 0.046
0.798 0.752 0.723
0.932 0.447 0.133
```


Entry 2:
## MgNiP2O7 (PBE+U)

Data for crystalline MgNiP2O7 at its relaxed geometry.

As for the energy above the most stable polymorph in this dataset: 155 meV per atom. The value obtained for the electronic total energy is -6.5871 eV/atom. Its crystal system is monoclinic. As for the space group: No. 5.

POSCAR file:
```
MgNiP2O7
1.0
3.341 -4.303 0.000
3.341 4.303 0.000
-0.982 0.000 4.391
Mg Ni P O
1 1 2 7
direct
0.000 0.000 0.000
0.632 0.368 0.500
0.081 0.498 0.103
0.502 0.919 0.897
0.237 0.763 0.000
0.263 0.355 0.246
0.391 0.085 0.700
0.645 0.737 0.754
0.681 0.063 0.198
0.915 0.609 0.300
0.937 0.319 0.802
```


Entry 3:
## LiCrO2 (PBE+U)

Data for crystalline LiCrO2 at its relaxed geometry.

As for the energy above the most stable polymorph in this dataset: 38 meV per atom. The value obtained for the electronic total energy is -6.8920 eV/atom.

POSCAR file:
```
LiCrO2
1.0
2.113 4.800 0.000
0.000 0.000 5.739
5.267 0.005 0.000
Li Cr O
4 4 8
direct
0.500 0.250 0.000
0.000 0.750 0.500
0.500 0.000 0.500
0.000 0.500 0.000
0.500 0.499 0.500
0.500 0.751 0.000
0.000 0.999 0.000
0.000 0.251 0.500
0.770 0.250 0.269
0.270 0.749 0.769
0.730 0.501 0.731
0.230 0.000 0.231
0.230 0.250 0.731
0.730 0.749 0.231
0.770 0.000 0.769
0.270 0.501 0.269
```


Entry 4:
## NaMgV2Bi3O10 (PBE+U)

Data for crystalline NaMgV2Bi3O10 at its relaxed geometry.

As for the energy above the most stable polymorph in this dataset: 10 meV per atom. The value obtained for the electronic total energy is -6.2800 eV/atom. Its crystal system is triclinic. As for the space group: No. 1.

POSCAR file:
```
NaMgV2Bi3O10
1.0
5.711 0.000 0.000
-0.962 7.278 0.000
-1.829 -2.769 6.609
Na Mg V Bi O
1 1 2 3 10
direct
0.000 0.000 0.000
0.358 0.247 0.408
0.534 0.671 0.801
0.868 0.993 0.503
0.305 0.581 0.194
0.526 0.213 0.882
0.890 0.427 0.426
0.013 0.125 0.363
0.096 0.058 0.736
0.317 0.532 0.520
0.369 0.494 0.896
0.437 0.309 0.182
0.533 0.924 0.926
0.620 0.139 0.525
0.734 0.730 0.365
0.825 0.634 0.809
0.930 0.366 0.126
```


Entry 5:
## Fe8SiO12 (PBE+U)

Data for crystalline Fe8SiO12 at its relaxed geometry.

The value obtained for the electronic total energy is -6.8626 eV/atom. Its crystal system is monoclinic. As for the space group: No. 11.

POSCAR file:
```
Fe8SiO12
1.0
8.484 0.000 0.000
0.000 6.003 0.000
-0.114 0.000 9.119
Fe Si O
16 2 24
direct
0.000 0.000 0.000
0.000 0.500 0.000
0.135 0.250 0.676
0.217 0.750 0.499
0.246 0.750 0.834
0.248 0.750 0.165
0.381 0.250 0.991
0.495 0.013 0.337
0.495 0.487 0.337
0.505 0.513 0.663
0.505 0.987 0.663
0.619 0.750 0.009
0.752 0.250 0.835
0.754 0.250 0.166
0.783 0.250 0.501
0.865 0.750 0.324
0.131 0.250 0.328
0.869 0.750 0.672
0.004 0.750 0.162
0.007 0.250 0.186
0.028 0.250 0.483
0.245 0.023 0.331
0.245 0.477 0.331
0.249 0.511 0.989
0.249 0.989 0.989
0.260 0.514 0.673
0.260 0.986 0.673
0.471 0.750 0.492
0.491 0.750 0.182
0.492 0.750 0.829
0.508 0.250 0.171
0.509 0.250 0.818
0.529 0.250 0.508
0.740 0.014 0.327
0.740 0.486 0.327
0.751 0.011 0.011
0.751 0.489 0.011
0.755 0.523 0.669
0.755 0.977 0.669
0.972 0.750 0.517
0.993 0.750 0.814
0.996 0.250 0.838
```


Entry 6:
## MgTi3Fe2CoP6O24 (PBE+U)

Data for crystalline MgTi3Fe2CoP6O24 at its relaxed geometry.

As for the energy above the most stable polymorph in this dataset: 0 meV per atom. The value obtained for the electronic total energy is -7.5043 eV/atom. Its crystal system is triclinic. As for the space group: No. 1.

POSCAR file:
```
MgTi3Fe2CoP6O24
1.0
8.541 0.000 0.000
4.095 7.539 0.000
4.131 2.472 7.166
Mg Ti Fe Co P O
1 3 2 1 6 24
direct
0.000 0.000 0.000
0.143 0.150 0.158
0.633 0.660 0.640
0.845 0.878 0.853
0.477 0.517 0.517
0.744 0.389 0.137
0.342 0.373 0.358
0.029 0.474 0.749
0.241 0.969 0.550
0.447 0.776 0.035
0.551 0.268 0.961
0.740 0.059 0.459
0.938 0.564 0.249
0.019 0.287 0.923
0.084 0.947 0.746
0.104 0.515 0.301
0.168 0.006 0.397
0.227 0.454 0.604
0.247 0.925 0.060
0.308 0.122 0.505
0.377 0.212 0.030
0.396 0.771 0.563
0.462 0.608 0.220
0.490 0.707 0.879
0.544 0.333 0.103
0.554 0.424 0.767
0.595 0.265 0.433
0.596 0.861 0.981
0.667 0.907 0.503
0.742 0.106 0.935
0.744 0.583 0.409
0.813 0.017 0.610
0.878 0.517 0.673
0.894 0.077 0.258
0.922 0.758 0.089
0.956 0.408 0.188
0.969 0.631 0.826
```


Number 1: ρ 3.28 g cm⁻³. Number 2: ρ 3.38 g cm⁻³. Number 3: ρ 4.17 g cm⁻³. Number 4: ρ 5.66 g cm⁻³. Number 5: ρ 4.77 g cm⁻³. Number 6: ρ 3.27 g cm⁻³.